(1)
DFT (PBE+U) results for Li2CoSn3P6O24 after structural relaxation.

Properties
Symmetry   R3, No. 146
Total moment   1.00 μB/f.u.

Unit cell a=8.7910 b=8.7910 c=8.7910 alpha=59.07 beta=59.07 gamma=59.07
Fractional coordinates of all 36 atoms:
Li 0.0000 0.0000 0.0000
Li 0.4846 0.4846 0.4846
Co 0.1263 0.1263 0.1263
Sn 0.3391 0.3391 0.3391
Sn 0.6260 0.6260 0.6260
Sn 0.8409 0.8409 0.8409
P 0.0286 0.7416 0.4323
P 0.2332 0.5153 0.9420
P 0.4323 0.0286 0.7416
P 0.5153 0.9420 0.2332
P 0.7416 0.4323 0.0286
P 0.9420 0.2332 0.5153
O 0.0458 0.9105 0.2453
O 0.0719 0.7091 0.9212
O 0.0914 0.2913 0.4938
O 0.1817 0.3552 0.9797
O 0.2184 0.5752 0.4132
O 0.2453 0.0458 0.9105
O 0.2913 0.4938 0.0914
O 0.3552 0.9797 0.1817
O 0.3988 0.5342 0.7491
O 0.4132 0.2184 0.5752
O 0.4631 0.8689 0.6907
O 0.4938 0.0914 0.2913
O 0.5342 0.7491 0.3988
O 0.5752 0.4132 0.2184
O 0.5976 0.9946 0.7831
O 0.6907 0.4631 0.8689
O 0.7091 0.9212 0.0719
O 0.7491 0.3988 0.5342
O 0.7831 0.5976 0.9946
O 0.8689 0.6907 0.4631
O 0.9105 0.2453 0.0458
O 0.9212 0.0719 0.7091
O 0.9797 0.1817 0.3552
O 0.9946 0.7831 0.5976



(2)
DFT (PBE+U) results for Gd2MgTl2W4O16 after structural relaxation.

Properties
E above lowest polymorph   0.009 eV/atom
Symmetry   P1, No. 1
Total moment   14.00 μB/f.u.

Unit cell a=7.5480 b=7.6420 c=7.9271 alpha=89.52 beta=62.99 gamma=63.69
Fractional coordinates of all 25 atoms:
Gd 0.0000 0.0000 0.0000
Gd 0.4857 0.4769 0.5720
Mg 0.9950 0.5729 0.4379
Tl 0.0105 0.3448 0.6975
Tl 0.4850 0.0364 0.9964
W 0.0460 0.9525 0.4648
W 0.4470 0.5342 0.0992
W 0.5448 0.9276 0.4873
W 0.9400 0.5624 0.0819
O 0.0469 0.2781 0.9873
O 0.1064 0.6314 0.8611
O 0.1935 0.4697 0.1557
O 0.2006 0.8312 0.1663
O 0.2552 0.6361 0.4158
O 0.3033 0.9880 0.4044
O 0.3759 0.8607 0.7099
O 0.4314 0.2125 0.5623
O 0.5376 0.4754 0.8402
O 0.6200 0.2917 0.1339
O 0.6587 0.6258 0.0611
O 0.7430 0.5935 0.3771
O 0.7703 0.8774 0.2058
O 0.8105 0.8651 0.5384
O 0.8672 0.1878 0.4277
O 0.9474 0.0222 0.7298



(3)
DFT (PBE+U) results for KAlCr2H2O8 after structural relaxation.

Properties
Symmetry   C2/m, No. 12
Total moment   2.02 μB/f.u.

Unit cell a=6.3312 b=6.3312 c=7.6792 alpha=112.44 beta=112.44 gamma=50.23
Fractional coordinates of all 14 atoms:
K 0.0000 0.0000 0.0000
Al 0.0000 0.0000 0.5000
Cr 0.3900 0.3900 0.2195
Cr 0.6100 0.6100 0.7805
H 0.1887 0.1887 0.5834
H 0.8113 0.8113 0.4166
O 0.2165 0.7430 0.3178
O 0.2570 0.7835 0.6822
O 0.2618 0.2618 0.2581
O 0.3524 0.3524 0.9909
O 0.6476 0.6476 0.0091
O 0.7382 0.7382 0.7419
O 0.7430 0.2165 0.3178
O 0.7835 0.2570 0.6822



(4)
DFT (PBE+U) results for MnO2 after structural relaxation.

Unit cell a=4.4581 b=5.3416 c=5.3414 alpha=66.85 beta=90.00 gamma=90.00
Fractional coordinates of all 12 atoms:
O 0.8060 0.8470 0.3470
Mn 0.5000 0.5000 0.0000
Mn 0.0000 0.5000 0.5000
Mn 0.0000 0.0000 0.0000
O 0.1940 0.1530 0.6530
O 0.3060 0.6530 0.6530
Mn 0.5000 0.0000 0.5000
O 0.6940 0.3470 0.3470
O 0.6940 0.8470 0.8470
O 0.3060 0.1530 0.1530
O 0.1940 0.6530 0.1530
O 0.8060 0.3470 0.8470



(5)
DFT (PBE+U) results for MgMn8O13F3 after structural relaxation.

Properties
E above lowest polymorph   0.049 eV/atom
Symmetry   P1, No. 1
Total moment   29.00 μB/f.u.

Unit cell a=5.6217 b=6.7696 c=7.2214 alpha=93.85 beta=96.57 gamma=90.09
Fractional coordinates of all 25 atoms:
Mg 0.0000 0.0000 0.0000
Mn 0.0997 0.0851 0.4288
Mn 0.1479 0.5525 0.8940
Mn 0.2920 0.5733 0.4021
Mn 0.4098 0.0447 0.8590
Mn 0.6150 0.7988 0.1437
Mn 0.6341 0.3250 0.6564
Mn 0.7953 0.3444 0.1653
Mn 0.8532 0.8141 0.6394
O 0.0705 0.8021 0.4500
O 0.0857 0.3474 0.3426
O 0.1464 0.8364 0.8153
O 0.3662 0.5951 0.1253
O 0.3732 0.9973 0.1106
O 0.3762 0.5128 0.6629
O 0.3890 0.1141 0.6073
O 0.6317 0.2631 0.9119
O 0.6731 0.8717 0.8605
O 0.8428 0.0516 0.2179
O 0.8638 0.0994 0.6114
O 0.8659 0.6038 0.1033
O 0.8817 0.5310 0.6947
F 0.1370 0.2499 0.9233
F 0.5790 0.7698 0.4401
F 0.5903 0.3680 0.3872



(6)
DFT (PBE+U) results for MnV4FeO12 after structural relaxation.

Properties
Symmetry   C2, No. 5
Total moment   9.00 μB/f.u.

Unit cell a=6.9169 b=6.9169 c=5.9394 alpha=105.37 beta=105.37 gamma=84.14
Fractional coordinates of all 18 atoms:
Mn 0.0000 0.0000 0.0000
V 0.2976 0.2991 0.5154
V 0.4753 0.1193 0.0126
V 0.7009 0.7024 0.4846
V 0.8807 0.5247 0.9874
Fe 0.1773 0.8227 0.5000
O 0.0479 0.7144 0.1089
O 0.1289 0.1096 0.4012
O 0.1852 0.5279 0.5406
O 0.2856 0.9521 0.8911
O 0.4483 0.2741 0.8051
O 0.4488 0.2663 0.3036
O 0.4721 0.8148 0.4594
O 0.7016 0.0019 0.0397
O 0.7259 0.5517 0.1949
O 0.7337 0.5512 0.6964
O 0.8904 0.8711 0.5988
O 0.9981 0.2984 0.9603



MP2020-corrected energy per entry: -260.3, -226.4, -90.5, -97.5, -195.3, -154.1 eV for the cell shown
Calculated density per entry: 3.5, 8.1, 2.3, 4.9, 4.4, 3.2 g cm⁻³